Record 1
! PBE with a Hubbard U Rb4Mo5P2O22, relaxed; values from VASP
! SG: No. 20
! E_form, meV/atom: -2268
! Crystal system: orthorhombic
&SYSTEM
  ibrav = 0, nat = 66, ntyp = 4
/
ATOMIC_SPECIES
Rb 85.47 Rb.upf
Mo 95.94 Mo.upf
P 30.97 P.upf
O 16.00 O.upf
ATOMIC_POSITIONS angstrom
Rb 0.270 0.000 0.000
Rb 3.355 8.457 13.335
Rb 3.163 4.809 7.095
Rb 3.547 4.809 1.795
Rb 3.163 -4.809 10.684
Rb 3.547 -4.809 15.985
Rb 3.355 -8.457 4.445
Rb 6.440 0.000 8.890
Mo 3.355 4.787 13.335
Mo 2.913 2.822 10.547
Mo 3.797 2.822 16.122
Mo 3.324 0.478 2.556
Mo 3.385 0.478 6.333
Mo 3.324 -0.478 15.223
Mo 3.385 -0.478 11.446
Mo 2.913 -2.822 7.233
Mo 3.797 -2.822 1.657
Mo 3.355 -4.787 4.445
P 1.467 1.852 13.609
P 1.467 -1.852 4.170
P 5.242 1.852 13.060
P 5.242 -1.852 4.719
O 2.184 5.893 14.024
O 1.471 2.846 9.566
O 3.355 7.647 4.445
O 2.331 4.243 11.779
O 1.328 0.617 14.479
O 2.209 3.002 14.320
O 2.642 3.736 17.066
O 1.833 1.112 6.815
O 1.328 -0.617 3.300
O 2.091 1.514 12.235
O 2.219 1.668 1.921
O 1.833 -1.112 10.964
O 1.471 -2.846 8.213
O 4.525 5.893 12.645
O 2.091 -1.514 5.544
O 2.219 -1.668 15.858
O 3.137 1.015 16.447
O 4.067 3.736 9.603
O 4.379 4.243 14.890
O 3.355 0.906 4.445
O 2.209 -3.002 3.459
O 3.573 1.015 10.222
O 3.137 -1.015 1.332
O 4.500 3.002 12.349
O 3.355 -0.906 13.335
O 2.331 -4.243 6.000
O 2.642 -3.736 0.713
O 3.573 -1.015 7.557
O 4.490 1.668 6.969
O 4.619 1.514 14.434
O 2.184 -5.893 3.755
O 5.238 2.846 17.103
O 4.877 1.112 2.074
O 4.490 -1.668 10.811
O 4.619 -1.514 3.346
O 5.381 0.617 12.190
O 4.877 -1.112 15.705
O 4.067 -3.736 8.177
O 4.500 -3.002 5.430
O 5.381 -0.617 5.589
O 4.379 -4.243 2.890
O 3.355 -7.647 13.335
O 5.238 -2.846 0.677
O 4.525 -5.893 5.134
CELL_PARAMETERS angstrom
3.355 -10.139 0.000
3.355 10.139 0.000
0.000 0.000 17.779



Record 2
! PBE with a Hubbard U Si4Mo2P4O23, relaxed; values from VASP
! SG: No. 2
! E_form, meV/atom: -2743
! Crystal system: triclinic
&SYSTEM
  ibrav = 0, nat = 33, ntyp = 4
/
ATOMIC_SPECIES
Si 28.09 Si.upf
Mo 95.94 Mo.upf
P 30.97 P.upf
O 16.00 O.upf
ATOMIC_POSITIONS angstrom
Si 1.290 1.906 2.328
Si 6.305 7.277 10.188
Si 3.915 2.692 0.783
Si 8.930 8.062 8.643
Mo 3.747 3.241 7.102
Mo 6.474 6.728 3.869
P 3.893 6.599 6.076
P 3.758 6.952 1.851
P 6.463 3.017 9.120
P 6.327 3.370 4.895
O 2.351 6.455 2.152
O 2.009 3.141 6.043
O 3.753 7.875 7.029
O 3.592 5.368 6.918
O 3.843 8.500 2.003
O 4.914 7.426 9.391
O 2.646 2.587 1.772
O 4.017 6.742 0.310
O 3.917 1.556 7.345
O 5.345 6.611 5.572
O 4.847 6.265 2.646
O 3.900 4.097 0.000
O 5.373 3.703 8.325
O 4.876 3.358 5.399
O 6.304 8.412 3.626
O 6.203 3.227 10.661
O 7.574 7.381 9.199
O 5.307 2.542 1.580
O 6.378 1.469 8.968
O 6.628 4.601 4.053
O 6.468 2.094 3.942
O 8.212 6.828 4.928
O 7.869 3.514 8.819
CELL_PARAMETERS angstrom
5.299 0.000 0.000
2.501 8.195 0.000
2.420 1.774 10.971



Record 3
! PBE with a Hubbard U Si2Mo4P6O25, relaxed; values from VASP
! SG: No. 147
! E_form, meV/atom: -2619
! Crystal system: trigonal
&SYSTEM
  ibrav = 0, nat = 111, ntyp = 4
/
ATOMIC_SPECIES
Si 28.09 Si.upf
Mo 95.94 Mo.upf
P 30.97 P.upf
O 16.00 O.upf
ATOMIC_POSITIONS angstrom
Si 0.000 0.000 1.598
Si 0.000 0.000 6.407
Si 0.000 8.586 2.391
Si 0.000 8.586 5.585
Si 7.436 4.293 2.420
Si 7.436 4.293 5.615
Mo -4.913 8.524 4.407
Mo -2.417 4.250 0.444
Mo -2.547 12.848 0.444
Mo 2.472 4.218 7.561
Mo 2.510 4.362 4.407
Mo 5.033 0.007 3.599
Mo 2.403 12.872 4.407
Mo 4.926 8.517 3.599
Mo 4.964 8.662 0.444
Mo 9.983 0.032 7.561
Mo 9.853 8.630 7.561
Mo 12.349 4.355 3.599
P -0.325 2.989 6.005
P -2.419 6.818 6.034
P -4.685 11.666 6.005
P -2.756 9.784 1.988
P 2.427 1.776 2.001
P 0.340 5.601 1.988
P -0.322 11.565 6.034
P 5.021 2.505 6.017
P 2.741 7.376 6.034
P 4.695 5.504 1.972
P 2.416 10.374 1.988
P 7.758 1.314 1.972
P 7.096 7.279 6.017
P 5.009 11.104 6.005
P 10.192 3.095 6.017
P 12.121 1.214 2.001
P 9.855 6.061 1.972
P 7.761 9.890 2.001
O 0.000 0.000 0.000
O -3.831 7.503 6.053
O -6.236 11.953 5.819
O -1.211 3.273 4.816
O -0.986 3.100 7.371
O 0.203 1.502 5.819
O -4.602 10.100 5.957
O -2.185 5.961 7.254
O -2.189 6.147 4.687
O 1.403 0.575 2.186
O -0.974 4.747 2.062
O -3.415 9.290 0.723
O -3.210 9.138 3.287
O -4.258 12.183 7.371
O -3.997 12.292 4.816
O 0.990 3.844 5.957
O -1.421 8.048 6.163
O 2.192 2.404 0.635
O -2.838 11.350 2.062
O 2.229 2.685 3.189
O -0.199 7.083 1.806
O 1.098 5.277 0.723
O -1.202 9.510 1.806
O 1.127 5.531 3.287
O 3.824 1.065 2.049
O 0.000 8.586 3.988
O 3.624 3.217 5.944
O 1.177 7.626 6.163
O -1.181 11.792 7.254
O -1.018 11.702 4.687
O 0.244 10.086 6.163
O 5.119 1.688 7.282
O 2.854 5.811 6.053
O 5.353 1.789 4.718
O 1.401 9.166 1.806
O 6.459 0.434 1.952
O 4.070 4.873 0.751
O 4.229 4.969 3.318
O 3.207 7.910 4.687
O 3.366 8.006 7.254
O 0.977 12.446 6.053
O 6.035 3.714 6.199
O 2.083 11.090 3.287
O 4.582 7.069 1.952
O 2.317 11.192 0.723
O 7.192 2.794 1.842
O 8.454 1.178 3.318
O 8.617 1.088 0.751
O 6.259 5.254 1.842
O 3.812 9.663 2.062
O 7.436 4.293 4.018
O 3.612 11.815 5.957
O 6.309 7.349 4.718
O 8.638 3.370 6.199
O 6.338 7.602 7.282
O 7.635 5.796 6.199
O 5.207 10.195 4.816
O 10.274 1.530 5.944
O 5.244 10.476 7.371
O 8.857 4.832 1.842
O 6.446 9.036 2.049
O 11.433 0.588 3.189
O 11.694 0.697 0.635
O 10.646 3.742 4.718
O 10.851 3.590 7.282
O 8.410 8.133 5.944
O 6.033 12.304 5.819
O 9.625 6.733 3.318
O 9.622 6.918 0.751
O 12.038 2.780 2.049
O 7.233 11.377 2.186
O 8.422 9.779 0.635
O 8.647 9.607 3.189
O 13.673 0.927 2.186
O 11.267 5.377 1.952
CELL_PARAMETERS angstrom
14.872 0.000 0.000
-7.436 12.880 0.000
0.000 0.000 8.005



Record 4
! PBE with a Hubbard U SrMo3P2O14, relaxed; values from VASP
! SG: No. 11
! E_form, meV/atom: -2450
! Crystal system: monoclinic
&SYSTEM
  ibrav = 0, nat = 40, ntyp = 4
/
ATOMIC_SPECIES
Sr 87.62 Sr.upf
Mo 95.94 Mo.upf
P 30.97 P.upf
O 16.00 O.upf
ATOMIC_POSITIONS angstrom
Sr -0.951 1.633 2.453
Sr 5.263 4.900 7.526
Mo 1.379 4.900 1.687
Mo 0.106 4.900 4.889
Mo -0.851 1.633 8.735
Mo 5.163 4.900 1.244
Mo 4.206 1.633 5.091
Mo 2.933 1.633 8.292
P 0.552 1.633 5.606
P 2.385 1.633 1.985
P 1.927 4.900 7.994
P 3.760 4.900 4.373
O 0.587 4.900 0.157
O -1.461 4.900 5.620
O -0.149 4.900 2.978
O -1.807 0.174 8.562
O -1.807 3.092 8.562
O 1.409 0.423 1.927
O 1.409 2.843 1.927
O 0.281 0.419 4.669
O 0.281 2.847 4.669
O -0.491 1.633 6.727
O 3.363 1.633 0.789
O 3.294 4.900 1.132
O 2.306 4.900 3.848
O 1.137 4.900 6.689
O 3.175 1.633 3.291
O 2.006 1.633 6.131
O 1.018 1.633 8.847
O 0.949 4.900 9.190
O 4.803 4.900 3.253
O 4.031 3.685 5.311
O 4.031 6.114 5.311
O 2.903 3.689 8.053
O 2.903 6.110 8.053
O 6.119 3.440 1.418
O 6.119 6.359 1.418
O 4.461 1.633 7.002
O 5.773 1.633 4.360
O 3.725 1.633 9.823
CELL_PARAMETERS angstrom
8.539 0.000 0.000
0.000 6.533 0.000
-4.227 0.000 9.980



Record 5
! PBE with a Hubbard U TlMoPO6, relaxed; values from VASP
! SG: No. 70
! E_form, meV/atom: -2151
! Crystal system: orthorhombic
&SYSTEM
  ibrav = 0, nat = 36, ntyp = 4
/
ATOMIC_SPECIES
Tl 204.38 Tl.upf
Mo 95.94 Mo.upf
P 30.97 P.upf
O 16.00 O.upf
ATOMIC_POSITIONS angstrom
Tl 7.396 4.810 5.999
Tl 10.168 8.016 9.998
Tl 0.920 4.810 5.999
Tl 3.692 8.016 9.998
Mo 4.158 2.018 5.999
Mo 6.930 5.225 9.998
Mo 4.158 7.601 5.999
Mo 6.930 10.807 9.998
P 4.158 4.810 3.891
P 6.930 8.016 7.891
P 4.158 4.810 8.107
P 6.930 8.016 12.106
O 5.175 4.086 2.932
O 3.544 0.920 4.815
O 4.772 0.920 7.183
O 7.544 4.126 8.815
O 3.448 3.737 4.724
O 4.869 3.737 7.273
O 4.869 5.882 4.724
O 3.141 5.533 2.932
O 7.947 8.740 6.931
O 7.641 6.944 8.724
O 6.316 4.126 11.182
O 5.913 7.292 6.931
O 5.175 5.533 9.066
O 4.772 8.699 4.815
O 3.448 5.882 7.273
O 3.141 4.086 9.066
O 7.947 7.292 13.065
O 6.220 6.944 11.273
O 6.220 9.088 8.724
O 7.641 9.088 11.273
O 3.544 8.699 7.183
O 6.316 11.906 8.815
O 7.544 11.906 11.182
O 5.913 8.740 13.065
CELL_PARAMETERS angstrom
0.000 6.413 7.999
5.544 0.000 7.999
5.544 6.413 0.000



Record 6
! PBE with a Hubbard U Tl3Mo4P4O22, relaxed; values from VASP
! Energy above the most stable polymorph in this dataset, eV/atom: 0.1885
! SG: No. 14
! E_form, meV/atom: -2033
! Crystal system: monoclinic
&SYSTEM
  ibrav = 0, nat = 66, ntyp = 4
/
ATOMIC_SPECIES
Tl 204.38 Tl.upf
Mo 95.94 Mo.upf
P 30.97 P.upf
O 16.00 O.upf
ATOMIC_POSITIONS angstrom
Tl 0.000 0.000 0.000
Tl -4.159 5.118 4.930
Tl -3.654 1.562 6.329
Tl 0.504 3.556 1.399
Tl 1.179 6.680 8.461
Tl 5.338 8.674 3.531
Mo -0.316 7.337 3.366
Mo -4.475 8.017 8.296
Mo 1.681 0.377 3.718
Mo -2.478 4.741 8.648
Mo 4.162 5.495 1.212
Mo 0.003 9.859 6.142
Mo 6.159 2.219 1.564
Mo 2.000 2.899 6.494
P -1.495 0.258 3.335
P -5.654 4.860 8.265
P -1.890 7.130 6.361
P 2.268 8.224 1.431
P -0.585 2.012 8.429
P 3.574 3.106 3.499
P 7.338 5.376 1.595
P 3.179 9.978 6.525
O -1.489 6.235 2.081
O -5.647 9.119 7.011
O -5.721 6.301 7.730
O -1.563 9.054 2.800
O 1.712 1.636 0.146
O -2.446 3.482 5.076
O -3.357 7.579 6.584
O 0.802 7.775 1.654
O -0.133 0.919 2.846
O -4.292 4.199 7.776
O -1.741 6.939 4.834
O -5.900 8.416 9.764
O -1.580 0.218 4.904
O -5.739 4.900 9.834
O 0.795 6.153 3.884
O -3.364 9.201 8.814
O -1.655 5.779 7.109
O 2.504 9.575 2.179
O -3.538 6.430 9.386
O 0.620 8.924 4.457
O 3.327 7.245 1.976
O -0.832 8.110 6.906
O 2.516 2.127 2.954
O -1.643 2.991 7.884
O 1.063 1.312 5.403
O 5.222 3.806 0.473
O -0.820 0.661 7.681
O 3.339 4.457 2.751
O 5.048 1.035 1.046
O 0.889 4.083 5.976
O 7.423 5.336 0.026
O 3.264 10.018 4.956
O 7.584 1.820 0.096
O 3.425 3.298 5.026
O 5.976 6.037 2.084
O 1.817 9.317 7.014
O 0.882 2.461 8.206
O 5.040 2.657 3.276
O 4.130 6.754 4.784
O -0.029 8.600 9.714
O 3.246 1.183 7.060
O 7.405 3.935 2.130
O 7.331 1.117 2.849
O 3.172 4.001 7.779
CELL_PARAMETERS angstrom
10.002 0.000 0.000
0.000 10.236 0.000
-8.318 0.000 9.860